[1]
DFT (PBE) results for an optimized crystal structure of Ca2HfZrO6.

Unit cell a=5.845 b=5.845 c=5.845 alpha=60.00 beta=60.00 gamma=60.00
Positions (direct):
Ca (0.250, 0.250, 0.250)
Ca (0.750, 0.750, 0.750)
Hf (0.000, 0.000, 0.000)
Zr (0.500, 0.500, 0.500)
O (0.248, 0.248, 0.752)
O (0.248, 0.752, 0.248)
O (0.248, 0.752, 0.752)
O (0.752, 0.248, 0.248)
O (0.752, 0.248, 0.752)
O (0.752, 0.752, 0.248)

Properties
MP2020-corrected energy in eV/cell: -87.925
Space group: Fm-3m, No. 225
Calculated volume in Å³ per cell: 141.2
E_form in meV/atom: -3572.1

---

[2]
DFT (PBE) results for an optimized crystal structure of SnI3.

Unit cell a=8.354 b=8.354 c=8.354 alpha=120.62 beta=120.62 gamma=88.94
Positions (direct):
Sn (0.000, 0.000, 0.000)
Sn (0.500, 0.500, 0.000)
I (0.176, 0.676, 0.852)
I (0.250, 0.250, 0.000)
I (0.324, 0.176, 0.500)
I (0.676, 0.824, 0.500)
I (0.750, 0.750, 0.000)
I (0.824, 0.324, 0.148)

Properties
MP2020-corrected energy in eV/cell: -21.632
Space group: I4/mcm, No. 140
Calculated volume in Å³ per cell: 408.4
E_form in meV/atom: -558.6

---

[3]
DFT (PBE) results for an optimized crystal structure of Ca3Ga2Sn3O12.

Unit cell a=11.140 b=11.140 c=11.140 alpha=109.80 beta=109.80 gamma=108.82
Positions (direct):
Ca (0.123, 0.250, 0.373)
Ca (0.125, 0.375, 0.750)
Ca (0.250, 0.377, 0.127)
Ca (0.250, 0.877, 0.627)
Ca (0.375, 0.125, 0.250)
Ca (0.377, 0.750, 0.127)
Ca (0.623, 0.250, 0.873)
Ca (0.625, 0.875, 0.750)
Ca (0.750, 0.123, 0.373)
Ca (0.750, 0.623, 0.873)
Ca (0.875, 0.625, 0.250)
Ca (0.877, 0.750, 0.627)
Ga (0.126, 0.750, 0.876)
Ga (0.250, 0.126, 0.876)
Ga (0.250, 0.626, 0.376)
Ga (0.374, 0.250, 0.624)
Ga (0.626, 0.750, 0.376)
Ga (0.750, 0.374, 0.624)
Ga (0.750, 0.874, 0.124)
Ga (0.874, 0.250, 0.124)
Sn (0.000, 0.000, 0.000)
Sn (0.000, 0.000, 0.500)
Sn (0.000, 0.500, 0.000)
Sn (0.000, 0.500, 0.500)
Sn (0.125, 0.875, 0.250)
Sn (0.375, 0.625, 0.750)
Sn (0.500, 0.000, 0.000)
Sn (0.500, 0.000, 0.500)
Sn (0.500, 0.500, 0.000)
Sn (0.500, 0.500, 0.500)
Sn (0.625, 0.375, 0.250)
Sn (0.875, 0.125, 0.750)
O (0.019, 0.202, 0.117)
O (0.035, 0.325, 0.906)
O (0.081, 0.871, 0.406)
O (0.085, 0.702, 0.683)
O (0.098, 0.981, 0.683)
O (0.102, 0.623, 0.423)
O (0.123, 0.602, 0.923)
O (0.129, 0.035, 0.210)
O (0.175, 0.465, 0.594)
O (0.179, 0.199, 0.577)
O (0.199, 0.123, 0.020)
O (0.202, 0.585, 0.183)
O (0.298, 0.481, 0.383)
O (0.301, 0.321, 0.923)
O (0.321, 0.898, 0.020)
O (0.325, 0.919, 0.290)
O (0.371, 0.581, 0.906)
O (0.377, 0.301, 0.480)
O (0.398, 0.821, 0.520)
O (0.402, 0.085, 0.883)
O (0.415, 0.098, 0.617)
O (0.419, 0.825, 0.790)
O (0.465, 0.371, 0.290)
O (0.481, 0.598, 0.183)
O (0.519, 0.402, 0.817)
O (0.535, 0.629, 0.710)
O (0.581, 0.175, 0.210)
O (0.585, 0.902, 0.383)
O (0.598, 0.915, 0.117)
O (0.602, 0.179, 0.480)
O (0.623, 0.699, 0.520)
O (0.629, 0.419, 0.094)
O (0.675, 0.081, 0.710)
O (0.679, 0.102, 0.980)
O (0.699, 0.679, 0.077)
O (0.702, 0.519, 0.617)
O (0.798, 0.415, 0.817)
O (0.801, 0.877, 0.980)
O (0.821, 0.801, 0.423)
O (0.825, 0.535, 0.406)
O (0.871, 0.965, 0.790)
O (0.877, 0.398, 0.077)
O (0.898, 0.377, 0.577)
O (0.902, 0.019, 0.317)
O (0.915, 0.298, 0.317)
O (0.919, 0.129, 0.594)
O (0.965, 0.675, 0.094)
O (0.981, 0.798, 0.883)

Properties
MP2020-corrected energy in eV/cell: -540.836
Space group: I4_1/acd, No. 142
Calculated volume in Å³ per cell: 1064.1
Distance to the lowest polymorph of the same formula in meV/atom: 0.0
E_form in meV/atom: -2586.6

---

[4]
DFT (PBE) results for an optimized crystal structure of BaPt2S3.

Unit cell a=6.889 b=6.889 c=12.425 alpha=90.00 beta=90.00 gamma=90.00
Positions (direct):
Ba (0.178, 0.178, 0.000)
Ba (0.322, 0.678, 0.250)
Ba (0.678, 0.322, 0.750)
Ba (0.822, 0.822, 0.500)
Pt (0.007, 0.250, 0.375)
Pt (0.250, 0.007, 0.625)
Pt (0.250, 0.507, 0.625)
Pt (0.493, 0.750, 0.875)
Pt (0.507, 0.250, 0.375)
Pt (0.750, 0.493, 0.125)
Pt (0.750, 0.993, 0.125)
Pt (0.993, 0.750, 0.875)
S (0.164, 0.257, 0.745)
S (0.243, 0.664, 0.995)
S (0.243, 0.757, 0.750)
S (0.257, 0.164, 0.255)
S (0.257, 0.257, 0.500)
S (0.336, 0.757, 0.505)
S (0.664, 0.243, 0.005)
S (0.743, 0.743, 0.000)
S (0.743, 0.836, 0.755)
S (0.757, 0.243, 0.250)
S (0.757, 0.336, 0.495)
S (0.836, 0.743, 0.245)

Properties
MP2020-corrected energy in eV/cell: -135.343
Space group: P4_12_12, No. 92
Calculated volume in Å³ per cell: 589.7
Maximum piezoelectric response in C/m²: 0.0
Distance to the lowest polymorph of the same formula in meV/atom: 2.9
E_form in meV/atom: -1227.5

---

[5]
DFT (PBE) results for an optimized crystal structure of Ca3PbO.

Unit cell a=4.884 b=4.884 c=4.884 alpha=90.00 beta=90.00 gamma=90.00
Positions (direct):
Ca (0.000, 0.000, 0.500)
Ca (0.000, 0.500, 0.000)
Ca (0.500, 0.000, 0.000)
Pb (0.500, 0.500, 0.500)
O (0.000, 0.000, 0.000)

Properties
MP2020-corrected energy in eV/cell: -23.124
Space group: Pm-3m, No. 221
Calculated volume in Å³ per cell: 116.5
E_form in meV/atom: -1689.3

---

[6]
DFT (PBE) results for an optimized crystal structure of SrNb2CuClO7.

Unit cell a=3.958 b=3.958 c=11.662 alpha=90.00 beta=90.00 gamma=90.00
Positions (direct):
Sr (0.000, 0.000, 0.000)
Nb (0.500, 0.500, 0.188)
Nb (0.500, 0.500, 0.812)
Cu (0.500, 0.500, 0.500)
Cl (0.000, 0.000, 0.500)
O (0.000, 0.500, 0.159)
O (0.000, 0.500, 0.841)
O (0.500, 0.000, 0.159)
O (0.500, 0.000, 0.841)
O (0.500, 0.500, 0.000)
O (0.500, 0.500, 0.346)
O (0.500, 0.500, 0.654)

Properties
MP2020-corrected energy in eV/cell: -92.107
Space group: P4/mmm, No. 123
Calculated volume in Å³ per cell: 182.7
E_form in meV/atom: -2469.3

---

[7]
DFT (PBE) results for an optimized crystal structure of PrCu2Ge2.

Unit cell a=5.947 b=5.947 c=5.947 alpha=138.94 beta=138.94 gamma=59.47
Positions (direct):
Pr (0.000, 0.000, 0.000)
Cu (0.250, 0.750, 0.500)
Cu (0.750, 0.250, 0.500)
Ge (0.377, 0.377, 0.000)
Ge (0.623, 0.623, 0.000)

Properties
Space group: I4/mmm, No. 139
Calculated volume in Å³ per cell: 89.8
E_form in meV/atom: -536.6

---

[8]
DFT (PBE) results for an optimized crystal structure of VWN3.

Unit cell a=5.393 b=6.685 c=8.758 alpha=73.16 beta=87.76 gamma=77.46
Positions (direct):
V (0.196, 0.084, 0.430)
V (0.201, 0.986, 0.787)
V (0.799, 0.014, 0.213)
V (0.804, 0.916, 0.570)
W (0.246, 0.761, 0.176)
W (0.249, 0.388, 0.590)
W (0.751, 0.612, 0.410)
W (0.754, 0.239, 0.824)
N (0.003, 0.340, 0.426)
N (0.094, 0.280, 0.795)
N (0.152, 0.021, 0.233)
N (0.348, 0.798, 0.967)
N (0.402, 0.045, 0.613)
N (0.437, 0.550, 0.351)
N (0.563, 0.450, 0.649)
N (0.598, 0.955, 0.387)
N (0.652, 0.202, 0.033)
N (0.848, 0.979, 0.767)
N (0.906, 0.720, 0.205)
N (0.997, 0.660, 0.574)

Properties
MP2020-corrected energy in eV/cell: -198.209
Space group: P-1, No. 2
Calculated volume in Å³ per cell: 294.9
E_form in meV/atom: -500.1

---

[9]
DFT (PBE) results for an optimized crystal structure of Na3ZrInSi2SO12.

Unit cell a=9.233 b=9.233 c=22.950 alpha=90.40 beta=89.60 gamma=120.27
Positions (direct):
Zr (0.018, 0.004, 0.647)
Zr (0.685, 0.337, 0.981)
Zr (0.352, 0.670, 0.314)
Zr (0.663, 0.315, 0.481)
Zr (0.330, 0.648, 0.814)
Zr (0.996, 0.982, 0.147)
O (0.462, 0.158, 0.528)
O (0.185, 0.982, 0.913)
O (0.519, 0.648, 0.579)
O (0.220, 0.024, 0.314)
O (0.307, 0.476, 0.755)
O (0.157, 0.489, 0.581)
O (0.298, 0.820, 0.255)
O (0.976, 0.193, 0.301)
O (0.191, 0.026, 0.588)
O (0.692, 0.553, 0.529)
O (0.847, 0.035, 0.088)
O (0.474, 0.357, 0.134)
O (0.640, 0.143, 0.421)
O (0.819, 0.786, 0.310)
O (0.309, 0.859, 0.967)
O (0.688, 0.162, 0.031)
O (0.838, 0.312, 0.531)
O (0.696, 0.520, 0.245)
O (0.018, 0.815, 0.413)
O (0.813, 0.971, 0.412)
O (0.171, 0.978, 0.198)
O (0.309, 0.447, 0.481)
O (0.524, 0.693, 0.255)
O (0.857, 0.360, 0.921)
O (0.485, 0.135, 0.922)
O (0.147, 0.637, 0.079)
O (0.965, 0.153, 0.588)
O (0.214, 0.181, 0.810)
O (0.175, 0.205, 0.694)
O (0.548, 0.847, 0.476)
O (0.359, 0.887, 0.862)
O (0.976, 0.780, 0.814)
O (0.553, 0.691, 0.981)
O (0.514, 0.368, 0.422)
O (0.881, 0.514, 0.143)
O (0.486, 0.119, 0.643)
O (0.818, 0.802, 0.588)
O (0.865, 0.515, 0.422)
O (0.363, 0.853, 0.579)
O (0.198, 0.182, 0.088)
O (0.886, 0.357, 0.647)
O (0.509, 0.872, 0.361)
O (0.685, 0.148, 0.746)
O (0.643, 0.114, 0.147)
O (0.113, 0.641, 0.362)
O (0.480, 0.304, 0.745)
O (0.505, 0.645, 0.865)
O (0.355, 0.495, 0.365)
O (0.490, 0.155, 0.248)
O (0.842, 0.538, 0.028)
O (0.974, 0.809, 0.088)
O (0.643, 0.526, 0.634)
O (0.532, 0.849, 0.755)
O (0.823, 0.822, 0.915)
O (0.807, 0.024, 0.801)
O (0.632, 0.486, 0.922)
O (0.178, 0.177, 0.415)
O (0.022, 0.829, 0.698)
O (0.128, 0.491, 0.861)
O (0.352, 0.481, 0.079)
O (0.153, 0.452, 0.976)
O (0.852, 0.315, 0.246)
O (0.180, 0.702, 0.755)
O (0.447, 0.308, 0.029)
O (0.845, 0.510, 0.748)
O (0.780, 0.975, 0.695)
O (0.025, 0.220, 0.195)
O (0.151, 0.468, 0.255)
O (0.029, 0.187, 0.912)
O (0.511, 0.843, 0.081)
O (0.795, 0.825, 0.194)
O (0.141, 0.691, 0.467)
S (0.336, 0.964, 0.916)
S (0.003, 0.297, 0.249)
S (0.703, 0.997, 0.749)
S (0.370, 0.331, 0.082)
S (0.669, 0.630, 0.582)
S (0.036, 0.664, 0.416)
Na (0.973, 0.996, 0.995)
Na (0.004, 0.027, 0.495)
Na (0.663, 0.976, 0.579)
Na (0.024, 0.337, 0.079)
Na (0.671, 0.360, 0.828)
Na (0.666, 0.705, 0.076)
Na (0.329, 0.310, 0.912)
Na (0.295, 0.334, 0.576)
Na (0.690, 0.671, 0.412)
Na (0.307, 0.662, 0.662)
Na (0.962, 0.667, 0.909)
Na (0.640, 0.329, 0.328)
Na (0.628, 0.001, 0.242)
Na (0.338, 0.693, 0.162)
Na (0.996, 0.643, 0.245)
Na (0.999, 0.372, 0.742)
Na (0.333, 0.038, 0.409)
Na (0.357, 0.004, 0.745)
In (0.658, 0.328, 0.184)
In (0.991, 0.995, 0.850)
In (0.672, 0.342, 0.684)
In (0.005, 0.009, 0.350)
In (0.325, 0.662, 0.517)
In (0.338, 0.675, 0.017)
Si (0.964, 0.334, 0.587)
Si (0.632, 0.959, 0.418)
Si (0.297, 0.001, 0.253)
Si (0.041, 0.368, 0.918)
Si (0.999, 0.703, 0.753)
Si (0.708, 0.701, 0.252)
Si (0.333, 0.370, 0.420)
Si (0.374, 0.034, 0.585)
Si (0.299, 0.292, 0.752)
Si (0.630, 0.667, 0.920)
Si (0.966, 0.626, 0.085)
Si (0.666, 0.036, 0.087)

Properties
MP2020-corrected energy in eV/cell: -857.536
Calculated volume in Å³ per cell: 1689.6
E_form in meV/atom: -2664.7